SrPrEuNiO6 | PBE+U | optimized geometry

Unit cell a=5.7320 b=5.7320 c=5.7320 alpha=60.00 beta=60.00 gamma=60.00
With the nearest neighbours (Å) after each atom.
Positions (direct):
O: 0.7312 0.2688 0.7312  1 Ni 1.87
O: 0.2688 0.2688 0.7312  1 Ni 1.87
O: 0.7312 0.2688 0.2688  1 Ni 1.87
O: 0.2688 0.7312 0.7312  1 Ni 1.87
O: 0.2688 0.7312 0.2688  1 Ni 1.87
O: 0.7312 0.7312 0.2688  1 Ni 1.87
Pr: 0.7500 0.7500 0.7500  12 O 2.87
Eu: 0.0000 0.0000 0.0000  6 O 2.18
Sr: 0.2500 0.2500 0.2500  12 O 2.87
Ni: 0.5000 0.5000 0.5000  6 O 1.87

Properties
The raw total energy is -6.99 eV per atom. The formation energy is -2441 meV/atom.

Eu2NiPtO6 | PBE+U | optimized geometry

Unit cell a=5.7846 b=5.5034 c=9.5179 alpha=55.08 beta=90.00 gamma=90.00
With the nearest neighbours (Å) after each atom.
Positions (direct):
Eu: 0.0625 0.7290 0.7534  5 O 2.35-2.57
Eu: 0.5625 0.2710 0.7466  5 O 2.35-2.57
Eu: 0.9375 0.2710 0.2466  5 O 2.35-2.57
Eu: 0.4375 0.7290 0.2534  5 O 2.35-2.57
O: 0.9605 0.1441 0.7518  1 Pt 2.03, 1 Ni 2.06
O: 0.4605 0.8559 0.7482  1 Pt 2.03, 1 Ni 2.06
O: 0.5395 0.1441 0.2518  1 Pt 2.03, 1 Ni 2.06
O: 0.2940 0.2478 0.9435  1 Pt 2.05, 1 Ni 2.12
O: 0.8044 0.3509 0.9523  1 Pt 2.05, 1 Ni 2.10
O: 0.6956 0.3509 0.4523  1 Pt 2.05, 1 Ni 2.10
O: 0.0395 0.8559 0.2482  1 Pt 2.03, 1 Ni 2.06
O: 0.7060 0.7522 0.0565  1 Pt 2.05, 1 Ni 2.12
O: 0.1956 0.6491 0.0477  1 Pt 2.05, 1 Ni 2.10
O: 0.3044 0.6491 0.5477  1 Pt 2.05, 1 Ni 2.10
O: 0.7940 0.7522 0.5565  1 Pt 2.05, 1 Ni 2.12
O: 0.2060 0.2478 0.4435  1 Pt 2.05, 1 Ni 2.12
Ni: 0.5000 0.5000 0.0000  6 O 2.06-2.12
Ni: 0.0000 0.5000 0.5000  6 O 2.06-2.12
Pt: 0.5000 0.0000 0.5000  6 O 2.03-2.05
Pt: 0.0000 0.0000 0.0000  6 O 2.03-2.05

Properties
The raw total energy is -7.70 eV per atom. The formation energy is -2158 meV/atom.

SrEu3Ni2O8 | PBE+U | optimized geometry

Unit cell a=6.7645 b=6.7645 c=5.3803 alpha=90.00 beta=90.00 gamma=132.92
With the nearest neighbours (Å) after each atom.
Positions (direct):
Sr: 0.3582 0.6418 0.0000  9 O 2.44-2.73
O: 0.7570 0.7501 0.2535  2 Ni 1.91
O: 0.8284 0.1716 0.0000  1 Ni 2.12, 1 Eu 2.34
O: 0.3272 0.6728 0.5000  1 Ni 2.11, 1 Eu 2.32
O: 0.2499 0.2430 0.2535  2 Ni 1.91
O: 0.1618 0.8382 0.0000  1 Ni 2.01
O: 0.6732 0.3268 0.5000  1 Ni 2.18, 1 Eu 2.33
O: 0.7570 0.7501 0.7465  2 Ni 1.91
O: 0.2499 0.2430 0.7465  2 Ni 1.91
Ni: 0.4971 0.5029 0.5000  5 O 1.91-2.11
Ni: 0.9993 0.0007 0.0000  6 O 1.91-2.12
Eu: 0.1405 0.8595 0.5000  5 O 2.32-2.53
Eu: 0.8608 0.1392 0.5000  5 O 2.33-2.58
Eu: 0.6398 0.3602 0.0000  5 O 2.34-2.57

Properties
The raw total energy is -7.68 eV per atom. The formation energy is -2462 meV/atom.

SrTbEuNiO6 | PBE+U | optimized geometry

Unit cell a=5.7090 b=5.7090 c=5.7090 alpha=60.00 beta=60.00 gamma=60.00
With the nearest neighbours (Å) after each atom.
Positions (direct):
O: 0.2299 0.2299 0.7701  1 Ni 1.86
O: 0.7701 0.7701 0.2299  1 Ni 1.86
O: 0.7701 0.2299 0.2299  1 Ni 1.86
O: 0.2299 0.7701 0.2299  1 Ni 1.86
O: 0.2299 0.7701 0.7701  1 Ni 1.86
O: 0.7701 0.2299 0.7701  1 Ni 1.86
Ni: 0.0000 0.0000 0.0000  6 O 1.86
Eu: 0.2500 0.2500 0.2500  12 O 2.86
Sr: 0.7500 0.7500 0.7500  12 O 2.86
Tb: 0.5000 0.5000 0.5000  6 O 2.18

Properties
The raw total energy is -7.06 eV per atom. The formation energy is -2522 meV/atom.

Sr2Eu2TlNi2O9 | PBE+U | optimized geometry

Unit cell a=15.2408 b=15.2360 c=3.8169 alpha=82.88 beta=82.73 gamma=14.39
With the nearest neighbours (Å) after each atom.
Positions (direct):
O: 0.8522 0.8492 0.6511  2 Ni 1.91
O: 0.1508 0.1478 0.3525  2 Ni 1.91
O: 0.6511 0.6475 0.8522  2 Ni 1.91
O: 0.3525 0.3489 0.1508  2 Ni 1.91
O: 0.9303 0.9285 0.0715  1 Tl 2.13, 1 Ni 2.32
O: 0.2191 0.2183 0.7817  1 Ni 2.13, 1 Eu 2.31
O: 0.4789 0.5211 0.4789  1 Tl 2.36, 2 Sr 2.54
O: 0.0715 0.0697 0.9303  1 Tl 2.13, 1 Ni 2.32
O: 0.7817 0.7809 0.2191  1 Ni 2.13, 1 Eu 2.31
Sr: 0.5918 0.5776 0.4224  9 O 2.54-2.78
Sr: 0.4224 0.4082 0.5918  9 O 2.54-2.78
Ni: 0.8541 0.8502 0.1498  5 O 1.91-2.13
Ni: 0.1498 0.1459 0.8541  5 O 1.91-2.13
Tl: 0.0444 0.9556 0.0444  3 O 2.13-2.36
Eu: 0.2965 0.2953 0.7047  5 O 2.31-2.52
Eu: 0.7047 0.7035 0.2965  5 O 2.31-2.52

Properties
The raw total energy is -6.69 eV per atom. The formation energy is -2247 meV/atom.

SrEuNiWO6 | PBE+U | optimized geometry

Unit cell a=5.6537 b=5.6537 c=5.6537 alpha=60.00 beta=60.00 gamma=60.00
With the nearest neighbours (Å) after each atom.
Positions (direct):
O: 0.2566 0.7434 0.7434  1 W 1.95, 1 Ni 2.05
O: 0.7434 0.7434 0.2566  1 W 1.95, 1 Ni 2.05
O: 0.2566 0.2566 0.7434  1 W 1.95, 1 Ni 2.05
O: 0.2566 0.7434 0.2566  1 W 1.95, 1 Ni 2.05
O: 0.7434 0.2566 0.7434  1 W 1.95, 1 Ni 2.05
O: 0.7434 0.2566 0.2566  1 W 1.95, 1 Ni 2.05
Sr: 0.2500 0.2500 0.2500  12 O 2.83
Ni: 0.0000 0.0000 0.0000  6 O 2.05
Eu: 0.7500 0.7500 0.7500  12 O 2.83
W: 0.5000 0.5000 0.5000  6 O 1.95

Properties
The raw total energy is -7.47 eV per atom. The formation energy is -2542 meV/atom.

no.,mass density (g/cm³)
1,6.673
2,8.738
3,7.265
4,6.982
5,7.182
6,7.512